1.
The following is a GGA+U calculation of an optimized crystal structure of La7Nb3W4O30, from the Materials Project database.

a = 6.968 Å, b = 10.239 Å, c = 10.257 Å
α = 115.05°, β = 103.42°, γ = 102.61°
Space group P-1 (No. 2)
Unique sites:
La 0.000 0.000 0.000 [1 per cell]
La 0.120 0.757 0.569 [2 per cell]
La 0.359 0.803 0.236 [2 per cell]
La 0.446 0.569 0.808 [2 per cell]
Nb 0.025 0.389 0.173 [2 per cell]
Nb 0.500 0.000 0.000 [1 per cell]
W 0.147 0.168 0.788 [2 per cell]
W 0.359 0.212 0.378 [2 per cell]
O 0.009 0.221 0.940 [2 per cell]
O 0.035 0.514 0.648 [2 per cell]
O 0.050 0.797 0.337 [2 per cell]
O 0.066 0.055 0.283 [2 per cell]
O 0.218 0.276 0.224 [2 per cell]
O 0.221 0.613 0.958 [2 per cell]
O 0.221 0.828 0.858 [2 per cell]
O 0.259 0.044 0.656 [2 per cell]
O 0.267 0.545 0.208 [2 per cell]
O 0.286 0.335 0.537 [2 per cell]
O 0.355 0.142 0.963 [2 per cell]
O 0.372 0.348 0.865 [2 per cell]
O 0.389 0.037 0.176 [2 per cell]
O 0.396 0.654 0.608 [2 per cell]
O 0.491 0.866 0.519 [2 per cell]

Final energy in eV per atom: -8.35
Density in g cm⁻³: 6.81
Formation energy in eV/atom: -3.197



2.
The following is a GGA+U calculation of an optimized crystal structure of La4Ni3O8, from the Materials Project database.

a = 4.000 Å, b = 4.000 Å, c = 25.985 Å
α = 90.00°, β = 90.00°, γ = 90.00°
Space group I4/mmm (No. 139)
Unique sites:
La 0.000 0.000 0.066 [4 per cell]
La 0.000 0.000 0.201 [4 per cell]
Ni 0.000 0.000 0.375 [4 per cell]
Ni 0.000 0.000 0.500 [2 per cell]
O 0.000 0.500 0.000 [4 per cell]
O 0.000 0.500 0.125 [8 per cell]
O 0.000 0.500 0.250 [4 per cell]

Final energy in eV per atom: -6.91
Density in g cm⁻³: 6.87
Formation energy in eV/atom: -2.677



3.
The following is a GGA+U calculation of an optimized crystal structure of La9Ni6O19, from the Materials Project database.

a = 16.605 Å, b = 5.516 Å, c = 10.365 Å
α = 90.00°, β = 104.91°, γ = 90.00°
Space group C2/m (No. 12)
Unique sites:
La 0.000 0.000 0.000 [2 per cell]
La 0.055 0.000 0.350 [4 per cell]
La 0.108 0.500 0.637 [4 per cell]
La 0.155 0.500 0.995 [4 per cell]
La 0.233 0.500 0.356 [4 per cell]
Ni 0.032 0.500 0.197 [4 per cell]
Ni 0.141 0.000 0.832 [4 per cell]
Ni 0.199 0.000 0.175 [4 per cell]
O 0.000 0.500 0.000 [2 per cell]
O 0.055 0.243 0.814 [8 per cell]
O 0.060 0.500 0.406 [4 per cell]
O 0.108 0.000 0.575 [4 per cell]
O 0.118 0.241 0.188 [8 per cell]
O 0.224 0.251 0.842 [8 per cell]
O 0.243 0.500 0.579 [4 per cell]

Final energy in eV per atom: -7.04
Density in g cm⁻³: 6.90
Formation energy in eV/atom: -2.777



4.
The following is a GGA+U calculation of an optimized crystal structure of La4NiO8, from the Materials Project database.

a = 5.329 Å, b = 12.737 Å, c = 5.334 Å
α = 90.00°, β = 90.00°, γ = 90.00°
Space group Cmmm (No. 65)
Unique sites:
La 0.000 0.133 0.000 [4 per cell]
La 0.000 0.366 0.500 [4 per cell]
Ni 0.000 0.500 0.000 [2 per cell]
O 0.000 0.188 0.500 [4 per cell]
O 0.000 0.341 0.000 [4 per cell]
O 0.249 0.500 0.238 [8 per cell]

Final energy in eV per atom: -7.49
Density in g cm⁻³: 6.81
Formation energy in eV/atom: -3.098



5.
The following is a GGA+U calculation of an optimized crystal structure of La16Ni8O33, from the Materials Project database.

a = 7.761 Å, b = 7.761 Å, c = 25.401 Å
α = 90.00°, β = 90.00°, γ = 90.00°
Space group I-4 (No. 82)
Unique sites:
La 0.001 0.243 0.195 [8 per cell]
La 0.007 0.250 0.557 [8 per cell]
La 0.007 0.255 0.056 [8 per cell]
La 0.010 0.748 0.697 [8 per cell]
Ni 0.000 0.248 0.876 [8 per cell]
Ni 0.001 0.249 0.374 [8 per cell]
O 0.000 0.000 0.114 [4 per cell]
O 0.000 0.000 0.378 [4 per cell]
O 0.000 0.500 0.122 [4 per cell]
O 0.000 0.500 0.629 [4 per cell]
O 0.000 0.500 0.750 [2 per cell]
O 0.014 0.193 0.790 [8 per cell]
O 0.023 0.250 0.287 [8 per cell]
O 0.023 0.751 0.464 [8 per cell]
O 0.024 0.739 0.964 [8 per cell]
O 0.247 0.249 0.629 [8 per cell]
O 0.250 0.250 0.380 [8 per cell]

Final energy in eV per atom: -7.33
Density in g cm⁻³: 6.99
Formation energy in eV/atom: -3.021



6.
The following is a GGA+U calculation of an optimized crystal structure of La2Ni2O5, from the Materials Project database.

a = 7.875 Å, b = 7.967 Å, c = 7.558 Å
α = 90.00°, β = 96.05°, γ = 90.00°
Space group C2/c (No. 15)
Unique sites:
La 0.247 0.231 0.249 [8 per cell]
Ni 0.000 0.000 0.000 [4 per cell]
Ni 0.000 0.500 0.000 [4 per cell]
O 0.000 0.439 0.750 [4 per cell]
O 0.037 0.232 0.455 [8 per cell]
O 0.229 0.043 0.961 [8 per cell]

Final energy in eV per atom: -6.73
Density in g cm⁻³: 6.69
Formation energy in eV/atom: -2.542



7.
The following is a GGA+U calculation of an optimized crystal structure of La3Ni2O7, from the Materials Project database.

a = 20.313 Å, b = 5.606 Å, c = 5.457 Å
α = 90.00°, β = 90.00°, γ = 90.00°
Space group Cmcm (No. 63)
Unique sites:
La 0.000 0.249 0.250 [4 per cell]
La 0.180 0.236 0.250 [8 per cell]
Ni 0.097 0.253 0.750 [8 per cell]
O 0.000 0.326 0.750 [4 per cell]
O 0.085 0.000 0.000 [8 per cell]
O 0.112 0.500 0.000 [8 per cell]
O 0.205 0.192 0.750 [8 per cell]

Final energy in eV per atom: -7.08
Density in g cm⁻³: 6.91
Formation energy in eV/atom: -2.824



8.
The following is a GGA+U calculation of an optimized crystal structure of LaNiO2, from the Materials Project database.

a = 4.002 Å, b = 4.002 Å, c = 3.339 Å
α = 90.00°, β = 90.00°, γ = 90.00°
Space group P4/mmm (No. 123)
Unique sites:
La 0.000 0.000 0.000 [1 per cell]
Ni 0.500 0.500 0.500 [1 per cell]
O 0.000 0.500 0.500 [2 per cell]

Final energy in eV per atom: -6.54
Density in g cm⁻³: 7.13
Formation energy in eV/atom: -2.365



9.
The following is a GGA+U calculation of an optimized crystal structure of La2Ni2O5, from the Materials Project database.

a = 15.852 Å, b = 5.691 Å, c = 5.464 Å
α = 90.00°, β = 90.00°, γ = 90.00°
Space group Ima2 (No. 46)
Unique sites:
La 0.109 0.016 0.000 [8 per cell]
Ni 0.000 0.000 0.495 [4 per cell]
Ni 0.250 0.559 0.039 [4 per cell]
O 0.014 0.745 0.250 [8 per cell]
O 0.137 0.069 0.475 [8 per cell]
O 0.250 0.610 0.408 [4 per cell]

Final energy in eV per atom: -6.79
Density in g cm⁻³: 6.40
Formation energy in eV/atom: -2.603



10.
The following is a GGA+U calculation of an optimized crystal structure of La2NiO4, from the Materials Project database.

a = 5.608 Å, b = 5.608 Å, c = 12.423 Å
α = 90.00°, β = 90.00°, γ = 90.00°
Space group P4_2/ncm (No. 138, origin choice 2)
Unique sites:
La 0.013 0.013 0.137 [8 per cell]
Ni 0.000 0.000 0.500 [4 per cell]
O 0.046 0.046 0.679 [8 per cell]
O 0.250 0.250 0.475 [4 per cell]
O 0.250 0.750 0.000 [4 per cell]

Final energy in eV per atom: -7.38
Density in g cm⁻³: 6.81
Formation energy in eV/atom: -3.068



11.
The following is a GGA+U calculation of an optimized crystal structure of La2NiO4, from the Materials Project database.

a = 3.924 Å, b = 3.924 Å, c = 12.520 Å
α = 90.00°, β = 90.00°, γ = 90.00°
Space group I4/mmm (No. 139)
Unique sites:
La 0.000 0.000 0.137 [4 per cell]
Ni 0.000 0.000 0.500 [2 per cell]
O 0.000 0.000 0.321 [4 per cell]
O 0.000 0.500 0.000 [4 per cell]

Final energy in eV per atom: -7.35
Density in g cm⁻³: 6.90
Formation energy in eV/atom: -3.039



12.
The following is a GGA+U calculation of an optimized crystal structure of La2Ni2O5, from the Materials Project database.

a = 7.525 Å, b = 7.898 Å, c = 10.436 Å
α = 90.00°, β = 130.98°, γ = 90.00°
Space group P2_1/c (No. 14)
Unique sites:
La 0.003 0.237 0.246 [4 per cell]
La 0.495 0.733 0.748 [4 per cell]
Ni 0.000 0.000 0.000 [2 per cell]
Ni 0.000 0.000 0.500 [2 per cell]
Ni 0.500 0.000 0.000 [2 per cell]
Ni 0.500 0.000 0.500 [2 per cell]
O 0.079 0.732 0.532 [4 per cell]
O 0.245 0.066 0.494 [4 per cell]
O 0.246 0.039 0.767 [4 per cell]
O 0.265 0.040 0.230 [4 per cell]
O 0.416 0.732 0.466 [4 per cell]

Final energy in eV per atom: -6.68
Density in g cm⁻³: 6.74
Formation energy in eV/atom: -2.492



13.
The following is a GGA+U calculation of an optimized crystal structure of La8Ni4O17, from the Materials Project database.

a = 11.142 Å, b = 10.967 Å, c = 6.932 Å
α = 90.00°, β = 113.98°, γ = 90.00°
Space group C2 (No. 5)
Unique sites:
La 0.073 0.000 0.287 [4 per cell]
La 0.078 0.495 0.281 [4 per cell]
La 0.181 0.240 0.708 [4 per cell]
La 0.182 0.750 0.723 [4 per cell]
Ni 0.000 0.251 0.000 [2 per cell]
Ni 0.000 0.748 0.000 [2 per cell]
Ni 0.248 0.495 0.992 [4 per cell]
O 0.000 0.124 0.500 [2 per cell]
O 0.086 0.748 0.342 [4 per cell]
O 0.116 0.372 0.945 [4 per cell]
O 0.121 0.120 0.977 [4 per cell]
O 0.121 0.267 0.329 [4 per cell]
O 0.123 0.875 0.990 [4 per cell]
O 0.129 0.620 0.007 [4 per cell]
O 0.175 0.508 0.648 [4 per cell]
O 0.197 0.969 0.662 [4 per cell]

Final energy in eV per atom: -7.28
Density in g cm⁻³: 6.94
Formation energy in eV/atom: -2.973